GGA-PBE LaY3Mn4Si4, relaxed; raw total energy = -7.45 eV per atom; ΔE_f = -0.533 eV/atom
1.0
3.9585 0.0000 0.0000
0.0000 3.9585 0.0000
0.0000 0.0000 14.6046
La Y Mn Si
1 3 4 4
Direct
0.0000 0.0000 0.0000
0.0000 0.0000 0.4977
0.5000 0.5000 0.1800
0.5000 0.5000 0.6656
0.0000 0.5000 0.3372
0.0000 0.5000 0.8247
0.5000 0.0000 0.3372
0.5000 0.0000 0.8247
0.0000 0.0000 0.2406
0.0000 0.0000 0.7273
0.5000 0.5000 0.4353
0.5000 0.5000 0.9187


GGA-PBE La3YMn4Si4, relaxed; raw total energy = -7.15 eV per atom; ΔE_f = -0.494 eV/atom
1.0
4.0005 0.0000 0.0000
0.0000 4.0005 0.0000
0.0000 0.0000 15.1979
La Y Mn Si
3 1 4 4
Direct
0.0000 0.0000 0.0000
0.0000 0.0000 0.4878
0.5000 0.5000 0.8179
0.5000 0.5000 0.3130
0.0000 0.5000 0.1642
0.0000 0.5000 0.6545
0.5000 0.0000 0.1642
0.5000 0.0000 0.6545
0.0000 0.0000 0.2561
0.0000 0.0000 0.7434
0.5000 0.5000 0.0751
0.5000 0.5000 0.5653


GGA-PBE Na3LaN6, relaxed; raw total energy = -4.32 eV per atom; ΔE_f = 1.354 eV/atom
1.0
0.0000 5.1847 11.0251
3.6828 0.0000 11.0251
3.6828 5.1847 0.0000
Na La N
6 2 12
Direct
0.1250 0.1250 0.1250
0.2109 0.2109 0.5391
0.4609 0.4609 0.7891
0.5391 0.5391 0.2109
0.7891 0.7891 0.4609
0.8750 0.8750 0.8750
0.3750 0.3750 0.3750
0.6250 0.6250 0.6250
0.0519 0.5476 0.6586
0.1363 0.6137 0.1363
0.2419 0.6586 0.5476
0.3414 0.7581 0.9481
0.3863 0.8637 0.3863
0.4524 0.9481 0.7581
0.5476 0.0519 0.2419
0.6137 0.1363 0.6137
0.6586 0.2419 0.0519
0.7581 0.3414 0.4524
0.8637 0.3863 0.8637
0.9481 0.4524 0.3414


GGA-PBE La3Nb2N6, relaxed; raw total energy = -9.03 eV per atom; ΔE_f = -1.495 eV/atom
1.0
-2.0525 2.0525 10.0744
2.0525 -2.0525 10.0744
2.0525 2.0525 -10.0744
La Nb N
3 2 6
Direct
0.0000 0.0000 0.0000
0.1799 0.1799 0.0000
0.8201 0.8201 0.0000
0.3986 0.3986 0.0000
0.6014 0.6014 0.0000
0.0845 0.5845 0.5000
0.3012 0.3012 0.0000
0.4155 0.9155 0.5000
0.5845 0.0845 0.5000
0.6988 0.6988 0.0000
0.9155 0.4155 0.5000


GGA-PBE LaNdN2, relaxed; raw total energy = -7.92 eV per atom; ΔE_f = -1.507 eV/atom
1.0
1.8535 1.0701 6.0597
-1.8535 1.0701 6.0597
0.0000 -2.1402 6.0597
La Nd N
1 1 2
Direct
0.0000 0.0000 0.0000
0.5000 0.5000 0.5000
0.2489 0.2489 0.2489
0.7511 0.7511 0.7511


GGA-PBE La5S4NO2, relaxed; raw total energy = -7.47 eV per atom; ΔE_f = -2.799 eV/atom
1.0
7.8706 -2.0485 0.0000
7.8706 2.0485 0.0000
-3.2373 0.0000 16.5212
La S N O
10 8 2 4
Direct
0.0180 0.0180 0.1683
0.0785 0.0785 0.5927
0.2679 0.2679 0.2057
0.3594 0.3594 0.5857
0.3755 0.3755 0.9759
0.6245 0.6245 0.0241
0.6406 0.6406 0.4143
0.7321 0.7321 0.7943
0.9215 0.9215 0.4073
0.9820 0.9820 0.8317
0.1775 0.1775 0.9008
0.2870 0.2870 0.4070
0.3404 0.3404 0.7558
0.4542 0.4542 0.2844
0.5458 0.5458 0.7156
0.6596 0.6596 0.2442
0.7130 0.7130 0.5930
0.8225 0.8225 0.0992
0.0727 0.0727 0.4503
0.9273 0.9273 0.5497
0.1394 0.1394 0.0965
0.4975 0.4975 0.0862
0.5025 0.5025 0.9138
0.8606 0.8606 0.9035


Q: What is the ΔE_f in the third record?
A: 1.354 eV/atom